## TiGeIr (r2SCAN)

Data for an optimized crystal structure of TiGeIr.

```
TiGeIr
1.0
6.2946 0.0000 0.0000
0.0000 3.9468 0.0000
0.0000 0.0000 7.3697
Ti Ge Ir
4 4 4
Direct
0.0272 0.2500 0.1870
0.4728 0.7500 0.6870
0.5272 0.2500 0.3130
0.9728 0.7500 0.8130
0.2393 0.7500 0.3785
0.2607 0.2500 0.8785
0.7393 0.7500 0.1215
0.7607 0.2500 0.6215
0.1547 0.2500 0.5607
0.3453 0.7500 0.0607
0.6547 0.2500 0.9393
0.8453 0.7500 0.4393
```

Values from the calculation:
Space-group type ... Pnma, No. 62
ΔE_f ... -790 meV/atom
Crystal system ... orthorhombic

## Tm4Ge6Ir7 (r2SCAN)

Data for an optimized crystal structure of Tm4Ge6Ir7.

```
Tm4Ge6Ir7
1.0
-4.1482 4.1482 4.1482
4.1482 -4.1482 4.1482
4.1482 4.1482 -4.1482
Tm Ge Ir
4 6 7
Direct
0.0000 0.0000 0.5000
0.0000 0.5000 0.0000
0.5000 0.0000 0.0000
0.5000 0.5000 0.5000
0.0000 0.3173 0.3173
0.0000 0.6827 0.6827
0.3173 0.0000 0.3173
0.3173 0.3173 0.0000
0.6827 0.0000 0.6827
0.6827 0.6827 0.0000
0.0000 0.0000 0.0000
0.2500 0.5000 0.7500
0.2500 0.7500 0.5000
0.5000 0.2500 0.7500
0.5000 0.7500 0.2500
0.7500 0.2500 0.5000
0.7500 0.5000 0.2500
```

Values from the calculation:
Space-group type ... Im-3m, No. 229
ΔE_f ... -1000 meV/atom
Crystal system ... cubic

## TmGeIr (r2SCAN)

Data for an optimized crystal structure of TmGeIr.

```
TmGeIr
1.0
6.7548 0.0000 0.0000
0.0000 4.2422 0.0000
0.0000 0.0000 7.5557
Tm Ge Ir
4 4 4
Direct
0.0074 0.2500 0.1925
0.4926 0.7500 0.6925
0.5074 0.2500 0.3075
0.9926 0.7500 0.8075
0.2104 0.7500 0.3872
0.2896 0.2500 0.8872
0.7104 0.7500 0.1128
0.7896 0.2500 0.6128
0.1604 0.2500 0.5638
0.3396 0.7500 0.0638
0.6604 0.2500 0.9362
0.8396 0.7500 0.4362
```

Values from the calculation:
Space-group type ... Pnma, No. 62
ΔE_f ... -1074 meV/atom
Crystal system ... orthorhombic

## YGe2Ir (r2SCAN)

Data for an optimized crystal structure of YGe2Ir.

```
YGe2Ir
1.0
-2.1341 4.4200 8.0390
2.1341 -4.4200 8.0390
2.1341 4.4200 -8.0390
Y Ge Ir
4 8 4
Direct
0.2056 0.2056 0.0000
0.2388 0.0000 0.2388
0.7612 0.0000 0.7612
0.7944 0.7944 0.0000
0.0768 0.5768 0.5000
0.1456 0.7990 0.3466
0.4225 0.4225 0.0000
0.4525 0.7990 0.6534
0.5475 0.2010 0.3466
0.5775 0.5775 0.0000
0.8544 0.2010 0.6534
0.9232 0.4232 0.5000
0.1059 0.3545 0.7514
0.3969 0.6455 0.7514
0.6031 0.3545 0.2486
0.8941 0.6455 0.2486
```

Values from the calculation:
Space-group type ... Immm, No. 71
ΔE_f ... -891 meV/atom
Crystal system ... orthorhombic

ΔE_f of number 4 (YGe2Ir)?
-891 meV/atom

Copy entry 1 word for word.
## TiGeIr (r2SCAN)

Data for an optimized crystal structure of TiGeIr.

```
TiGeIr
1.0
6.2946 0.0000 0.0000
0.0000 3.9468 0.0000
0.0000 0.0000 7.3697
Ti Ge Ir
4 4 4
Direct
0.0272 0.2500 0.1870
0.4728 0.7500 0.6870
0.5272 0.2500 0.3130
0.9728 0.7500 0.8130
0.2393 0.7500 0.3785
0.2607 0.2500 0.8785
0.7393 0.7500 0.1215
0.7607 0.2500 0.6215
0.1547 0.2500 0.5607
0.3453 0.7500 0.0607
0.6547 0.2500 0.9393
0.8453 0.7500 0.4393
```

Values from the calculation:
Space-group type ... Pnma, No. 62
ΔE_f ... -790 meV/atom
Crystal system ... orthorhombic

Which of these has the highest ΔE_f?
TiGeIr

Among the records above, which one has the highest ΔE_f?
TiGeIr